Entry 1:
Ca5Mn2N6 | GGA-PBE | relaxed

Values from the calculation:
- Calculated total energy: -88.1 eV for the cell shown
- Space-group type: No. 6
- Magnetic moment: 2.00 μB/f.u.

Unit cell a=6.3667 b=4.9634 c=6.8488 alpha=90.00 beta=103.05 gamma=90.00
Positions (direct):
1 Ca 0.0000 0.0000 0.0000
2 Ca 0.0824 0.0000 0.4976
3 Ca 0.3137 0.5000 0.2934
4 Ca 0.4001 0.5000 0.8291
5 Ca 0.6022 0.0000 0.5605
6 Mn 0.5015 0.0000 0.1055
7 Mn 0.9148 0.5000 0.6922
8 N 0.0452 0.5000 0.9391
9 N 0.1001 0.5000 0.5402
10 N 0.3150 0.0000 0.2693
11 N 0.4061 0.0000 0.8486
12 N 0.6383 0.5000 0.5997
13 N 0.7579 0.0000 0.2285

***

Entry 2:
Al3WC4 | GGA-PBE | relaxed

Values from the calculation:
- Calculated total energy: -56.0 eV for the cell shown
- Space-group type: No. 25
- Magnetic moment: 0.00 μB/f.u.

Unit cell a=2.6644 b=3.0311 c=10.4337 alpha=90.00 beta=90.00 gamma=90.00
Positions (direct):
1 Al 0.0000 0.0000 0.0000
2 Al 0.0000 0.0000 0.4994
3 Al 0.0000 0.5000 0.7509
4 W 0.0000 0.5000 0.2587
5 C 0.5000 0.0000 0.1800
6 C 0.5000 0.0000 0.6676
7 C 0.5000 0.5000 0.4142
8 C 0.5000 0.5000 0.9202

***

Entry 3:
Ga4Si12H138C55S4 | GGA-PBE | relaxed

Values from the calculation:
- Calculated total energy: -2223.7 eV for the cell shown
- Space-group type: No. 148
- Magnetic moment: 0.01 μB/f.u.

Unit cell a=17.1559 b=17.1559 c=17.1559 alpha=80.11 beta=80.11 gamma=80.11
Positions (direct):
1 Ga 0.1908 0.1908 0.1908
2 Ga 0.2081 0.2323 0.3719
3 Ga 0.2323 0.3719 0.2081
4 Ga 0.3719 0.2081 0.2323
5 Ga 0.6281 0.7919 0.7677
6 Ga 0.7677 0.6281 0.7919
7 Ga 0.7919 0.7677 0.6281
8 Ga 0.8092 0.8092 0.8092
9 Si 0.0490 0.0808 0.2042
10 Si 0.0498 0.2282 0.5128
11 Si 0.0808 0.2042 0.0490
12 Si 0.1073 0.5419 0.2051
13 Si 0.2002 0.2904 0.5461
14 Si 0.2042 0.0490 0.0808
15 Si 0.2051 0.1073 0.5419
16 Si 0.2282 0.5128 0.0498
17 Si 0.2904 0.5461 0.2002
18 Si 0.4539 0.7998 0.7096
19 Si 0.4581 0.7949 0.8927
20 Si 0.4872 0.9502 0.7718
21 Si 0.5128 0.0498 0.2282
22 Si 0.5419 0.2051 0.1073
23 Si 0.5461 0.2002 0.2904
24 Si 0.7096 0.4539 0.7998
25 Si 0.7718 0.4872 0.9502
26 Si 0.7949 0.8927 0.4581
27 Si 0.7958 0.9510 0.9192
28 Si 0.7998 0.7096 0.4539
29 Si 0.8927 0.4581 0.7949
30 Si 0.9192 0.7958 0.9510
31 Si 0.9502 0.7718 0.4872
32 Si 0.9510 0.9192 0.7958
33 H 0.0076 0.3406 0.0356
34 H 0.0126 0.5328 0.3289
35 H 0.0156 0.3630 0.4342
36 H 0.0166 0.2044 0.3834
37 H 0.0171 0.2189 0.6642
38 H 0.0167 0.9802 0.8884
39 H 0.0198 0.1116 0.9833
40 H 0.0199 0.7102 0.8666
41 H 0.0208 0.3731 0.5347
42 H 0.0220 0.7866 0.0366
43 H 0.0239 0.1132 0.4517
44 H 0.0253 0.1233 0.6346
45 H 0.0271 0.4576 0.1533
46 H 0.0285 0.7964 0.7430
47 H 0.0309 0.4533 0.8170
48 H 0.0314 0.5505 0.0890
49 H 0.0332 0.6738 0.2274
50 H 0.0356 0.0076 0.3406
51 H 0.0366 0.0220 0.7866
52 H 0.0526 0.8435 0.9437
53 H 0.0563 0.9474 0.1565
54 H 0.0595 0.8047 0.3809
55 H 0.0607 0.8121 0.5353
56 H 0.0626 0.6621 0.4879
57 H 0.0718 0.3296 0.1089
58 H 0.0757 0.8223 0.8177
59 H 0.0771 0.4404 0.3251
60 H 0.0802 0.3208 0.6515
61 H 0.0813 0.6328 0.7110
62 H 0.0830 0.8788 0.7207
63 H 0.0890 0.0314 0.5505
64 H 0.1002 0.6862 0.1368
65 H 0.1089 0.0718 0.3296
66 H 0.1109 0.5230 0.3530
67 H 0.1116 0.9833 0.0198
68 H 0.1132 0.4517 0.0239
69 H 0.1212 0.2793 0.9170
70 H 0.1233 0.6346 0.0253
71 H 0.1262 0.4173 0.4804
72 H 0.1286 0.5290 0.6328
73 H 0.1334 0.9801 0.2898
74 H 0.1354 0.6751 0.2301
75 H 0.1368 0.1002 0.6862
76 H 0.1436 0.6883 0.6386
77 H 0.1533 0.0271 0.4576
78 H 0.1545 0.2490 0.6948
79 H 0.1565 0.0563 0.9474
80 H 0.1603 0.6434 0.8051
81 H 0.1686 0.3506 0.6689
82 H 0.1777 0.1823 0.9243
83 H 0.1823 0.9243 0.1777
84 H 0.1830 0.9691 0.5467
85 H 0.1849 0.7464 0.4749
86 H 0.1879 0.4647 0.9393
87 H 0.1953 0.6191 0.9405
88 H 0.1949 0.8397 0.3566
89 H 0.1986 0.4558 0.7363
90 H 0.2036 0.2570 0.9715
91 H 0.2044 0.3834 0.0166
92 H 0.2070 0.4337 0.5248
93 H 0.2117 0.5745 0.5839
94 H 0.2117 0.6023 0.3217
95 H 0.2134 0.9634 0.9780
96 H 0.2189 0.6642 0.0171
97 H 0.2263 0.3980 0.4311
98 H 0.2274 0.0332 0.6738
99 H 0.2301 0.1354 0.6751
100 H 0.2307 0.6866 0.7314
101 H 0.2490 0.6948 0.1545
102 H 0.2536 0.5251 0.8151
103 H 0.2570 0.9715 0.2036
104 H 0.2593 0.5028 0.3482
105 H 0.2637 0.8014 0.5443
106 H 0.2666 0.6823 0.4337
107 H 0.2686 0.7693 0.3134
108 H 0.2793 0.9170 0.1212
109 H 0.2837 0.4710 0.6652
110 H 0.2890 0.9187 0.3672
111 H 0.2898 0.1334 0.9801
112 H 0.3052 0.8455 0.7510
113 H 0.3117 0.3614 0.8564
114 H 0.3134 0.2686 0.7693
115 H 0.3138 0.8632 0.8998
116 H 0.3162 0.5831 0.3240
117 H 0.3177 0.5663 0.7334
118 H 0.3208 0.6515 0.0802
119 H 0.3217 0.2117 0.6023
120 H 0.3240 0.3162 0.5831
121 H 0.3251 0.0771 0.4404
122 H 0.3249 0.7699 0.8646
123 H 0.3262 0.7726 0.9668
124 H 0.3289 0.0126 0.5328
125 H 0.3296 0.1089 0.0718
126 H 0.3311 0.8314 0.6494
127 H 0.3348 0.7163 0.5290
128 H 0.3358 0.9829 0.7811
129 H 0.3379 0.5121 0.9374
130 H 0.3406 0.0356 0.0076
131 H 0.3482 0.2593 0.5028
132 H 0.3485 0.9198 0.6792
133 H 0.3506 0.6689 0.1686
134 H 0.3530 0.1109 0.5230
135 H 0.3566 0.1949 0.8397
136 H 0.3614 0.8564 0.3117
137 H 0.3630 0.4342 0.0156
138 H 0.3654 0.9747 0.8767
139 H 0.3672 0.2890 0.9187
140 H 0.3672 0.8714 0.4710
141 H 0.3731 0.5347 0.0208
142 H 0.3809 0.0595 0.8047
143 H 0.3834 0.0166 0.2044
144 H 0.3980 0.4311 0.2263
145 H 0.3977 0.6783 0.7883
146 H 0.4161 0.7883 0.4255
147 H 0.4173 0.4804 0.1262
148 H 0.4169 0.6760 0.6838
149 H 0.4255 0.4161 0.7883
150 H 0.4311 0.2263 0.3980
151 H 0.4342 0.0156 0.3630
152 H 0.4337 0.2666 0.6823
153 H 0.4337 0.5248 0.2070
154 H 0.4404 0.3251 0.0771
155 H 0.4494 0.9110 0.9686
156 H 0.4517 0.0239 0.1132
157 H 0.4533 0.8170 0.0309
158 H 0.4558 0.7363 0.1986
159 H 0.4576 0.1533 0.0271
160 H 0.4647 0.9393 0.1879
161 H 0.4653 0.9792 0.6269
162 H 0.4672 0.6711 0.9874
163 H 0.4710 0.3672 0.8714
164 H 0.4710 0.6652 0.2837
165 H 0.4749 0.1849 0.7464
166 H 0.4752 0.7930 0.5663
167 H 0.4770 0.6470 0.8891
168 H 0.4804 0.1262 0.4173
169 H 0.4879 0.0626 0.6621
170 H 0.4972 0.6518 0.7407
171 H 0.5028 0.3482 0.2593
172 H 0.5121 0.9374 0.3379
173 H 0.5196 0.8738 0.5827
174 H 0.5230 0.3530 0.1109
175 H 0.5248 0.2070 0.4337
176 H 0.5251 0.8151 0.2536
177 H 0.5290 0.3348 0.7163
178 H 0.5290 0.6328 0.1286
179 H 0.5328 0.3289 0.0126
180 H 0.5347 0.0208 0.3731
181 H 0.5353 0.0607 0.8121
182 H 0.5424 0.8467 0.9729
183 H 0.5442 0.2637 0.8014
184 H 0.5467 0.1830 0.9691
185 H 0.5483 0.9761 0.8868
186 H 0.5505 0.0890 0.0314
187 H 0.5596 0.6749 0.9229
188 H 0.5663 0.4752 0.7930
189 H 0.5663 0.7334 0.3177
190 H 0.5658 0.9844 0.6370
191 H 0.5689 0.7737 0.6020
192 H 0.5745 0.5839 0.2117
193 H 0.5831 0.3240 0.3162
194 H 0.5827 0.5196 0.8738
195 H 0.5839 0.2117 0.5745
196 H 0.6023 0.3217 0.2117
197 H 0.6020 0.5689 0.7737
198 H 0.6166 0.9834 0.7956
199 H 0.6191 0.9405 0.1953
200 H 0.6269 0.4653 0.9792
201 H 0.6328 0.1286 0.5290
202 H 0.6328 0.7110 0.0813
203 H 0.6346 0.0253 0.1233
204 H 0.6370 0.5658 0.9844
205 H 0.6386 0.1436 0.6883
206 H 0.6434 0.8051 0.1603
207 H 0.6470 0.8891 0.4770
208 H 0.6494 0.3311 0.8314
209 H 0.6515 0.0802 0.3208
210 H 0.6518 0.7407 0.4972
211 H 0.6594 0.9644 0.9924
212 H 0.6621 0.4879 0.0626
213 H 0.6642 0.0171 0.2189
214 H 0.6652 0.2837 0.4710
215 H 0.6689 0.1686 0.3506
216 H 0.6704 0.8911 0.9282
217 H 0.6711 0.9874 0.4672
218 H 0.6738 0.2274 0.0332
219 H 0.6751 0.2301 0.1354
220 H 0.6749 0.9229 0.5596
221 H 0.6760 0.6838 0.4168
222 H 0.6783 0.7883 0.3977
223 H 0.6792 0.3485 0.9198
224 H 0.6823 0.4337 0.2666
225 H 0.6838 0.4168 0.6760
226 H 0.6862 0.1368 0.1002
227 H 0.6866 0.7314 0.2307
228 H 0.6883 0.6386 0.1436
229 H 0.6948 0.1545 0.2490
230 H 0.7102 0.8666 0.0199
231 H 0.7110 0.0813 0.6328
232 H 0.7163 0.5290 0.3348
233 H 0.7207 0.0830 0.8788
234 H 0.7314 0.2307 0.6866
235 H 0.7334 0.3177 0.5663
236 H 0.7363 0.1986 0.4558
237 H 0.7407 0.4972 0.6518
238 H 0.7430 0.0285 0.7964
239 H 0.7464 0.4749 0.1849
240 H 0.7510 0.3052 0.8455
241 H 0.7693 0.3134 0.2686
242 H 0.7699 0.8646 0.3249
243 H 0.7726 0.9668 0.3262
244 H 0.7737 0.6020 0.5689
245 H 0.7811 0.3358 0.9829
246 H 0.7866 0.0366 0.0220
247 H 0.7883 0.3977 0.6783
248 H 0.7883 0.4255 0.4161
249 H 0.7930 0.5663 0.4752
250 H 0.7956 0.6166 0.9834
251 H 0.7964 0.7430 0.0285
252 H 0.8014 0.5443 0.2637
253 H 0.8051 0.1603 0.6434
254 H 0.8047 0.3809 0.0595
255 H 0.8121 0.5353 0.0607
256 H 0.8151 0.2536 0.5251
257 H 0.8170 0.0309 0.4533
258 H 0.8177 0.0757 0.8223
259 H 0.8223 0.8177 0.0757
260 H 0.8314 0.6494 0.3311
261 H 0.8397 0.3566 0.1949
262 H 0.8435 0.9437 0.0526
263 H 0.8455 0.7510 0.3052
264 H 0.8467 0.9729 0.5424
265 H 0.8564 0.3117 0.3614
266 H 0.8632 0.8998 0.3138
267 H 0.8646 0.3249 0.7699
268 H 0.8666 0.0199 0.7102
269 H 0.8714 0.4710 0.3672
270 H 0.8738 0.5827 0.5196
271 H 0.8767 0.3654 0.9747
272 H 0.8788 0.7207 0.0830
273 H 0.8868 0.5483 0.9761
274 H 0.8884 0.0167 0.9802
275 H 0.8891 0.4770 0.6470
276 H 0.8911 0.9282 0.6704
277 H 0.8998 0.3138 0.8632
278 H 0.9110 0.9686 0.4495
279 H 0.9170 0.1212 0.2793
280 H 0.9187 0.3672 0.2890
281 H 0.9198 0.6792 0.3485
282 H 0.9229 0.5596 0.6749
283 H 0.9243 0.1777 0.1823
284 H 0.9282 0.6704 0.8911
285 H 0.9374 0.3379 0.5121
286 H 0.9393 0.1879 0.4647
287 H 0.9405 0.1953 0.6191
288 H 0.9437 0.0526 0.8435
289 H 0.9474 0.1565 0.0563
290 H 0.9634 0.9780 0.2134
291 H 0.9644 0.9924 0.6594
292 H 0.9668 0.3262 0.7726
293 H 0.9686 0.4495 0.9110
294 H 0.9691 0.5467 0.1830
295 H 0.9715 0.2036 0.2570
296 H 0.9729 0.5424 0.8467
297 H 0.9747 0.8767 0.3654
298 H 0.9761 0.8868 0.5483
299 H 0.9780 0.2134 0.9634
300 H 0.9792 0.6269 0.4653
301 H 0.9801 0.2898 0.1334
302 H 0.9802 0.8884 0.0167
303 H 0.9833 0.0198 0.1116
304 H 0.9829 0.7811 0.3358
305 H 0.9834 0.7956 0.6166
306 H 0.9844 0.6370 0.5658
307 H 0.9874 0.4672 0.6711
308 H 0.9924 0.6594 0.9644
309 C 0.0007 0.8338 0.9895
310 C 0.0027 0.3361 0.4969
311 C 0.0046 0.1778 0.4462
312 C 0.0059 0.1873 0.6179
313 C 0.0105 0.9993 0.1662
314 C 0.0272 0.5218 0.1515
315 C 0.0306 0.2998 0.0861
316 C 0.0428 0.8465 0.7673
317 C 0.0752 0.5055 0.3136
318 C 0.0861 0.0306 0.2998
319 C 0.0943 0.6547 0.1982
320 C 0.1304 0.1304 0.1304
321 C 0.1441 0.6340 0.6831
322 C 0.1448 0.3022 0.6501
323 C 0.1515 0.0272 0.5218
324 C 0.1535 0.2327 0.9572
325 C 0.1653 0.2139 0.4941
326 C 0.1662 0.0105 0.9993
327 C 0.1771 0.5584 0.6433
328 C 0.1778 0.4462 0.0046
329 C 0.1873 0.6179 0.0059
330 C 0.1881 0.3945 0.4894
331 C 0.1973 0.6354 0.7471
332 C 0.1982 0.0943 0.6547
333 C 0.2139 0.4941 0.1653
334 C 0.2312 0.5026 0.6993
335 C 0.2327 0.9572 0.1535
336 C 0.2469 0.7446 0.4447
337 C 0.2529 0.8027 0.3646
338 C 0.2554 0.5553 0.7531
339 C 0.2658 0.5595 0.3088
340 C 0.2998 0.0861 0.0306
341 C 0.3007 0.7688 0.4974
342 C 0.3022 0.6501 0.1448
343 C 0.3088 0.2658 0.5595
344 C 0.3136 0.0752 0.5055
345 C 0.3169 0.8559 0.3660
346 C 0.3361 0.4969 0.0027
347 C 0.3453 0.8018 0.9057
348 C 0.3499 0.8552 0.6978
349 C 0.3567 0.8229 0.4416
350 C 0.3646 0.2529 0.8027
351 C 0.3660 0.3169 0.8559
352 C 0.3821 0.9941 0.8127
353 C 0.3945 0.4894 0.1881
354 C 0.4405 0.6912 0.7342
355 C 0.4416 0.3567 0.8229
356 C 0.4447 0.2469 0.7446
357 C 0.4462 0.0046 0.1778
358 C 0.4782 0.8485 0.9728
359 C 0.4894 0.1881 0.3945
360 C 0.4941 0.1653 0.2139
361 C 0.4945 0.6864 0.9248
362 C 0.4969 0.0027 0.3361
363 C 0.4974 0.3007 0.7688
364 C 0.5026 0.6993 0.2312
365 C 0.5031 0.9973 0.6639
366 C 0.5055 0.3136 0.0752
367 C 0.5059 0.8347 0.7861
368 C 0.5106 0.8119 0.6055
369 C 0.5218 0.1515 0.0272
370 C 0.5538 0.9954 0.8222
371 C 0.5553 0.7531 0.2554
372 C 0.5584 0.6433 0.1771
373 C 0.5595 0.3088 0.2658
374 C 0.6055 0.5106 0.8119
375 C 0.6179 0.0059 0.1873
376 C 0.6340 0.6831 0.1441
377 C 0.6354 0.7471 0.1973
378 C 0.6433 0.1771 0.5584
379 C 0.6501 0.1448 0.3022
380 C 0.6547 0.1982 0.0943
381 C 0.6639 0.5031 0.9973
382 C 0.6831 0.1441 0.6340
383 C 0.6864 0.9248 0.4945
384 C 0.6912 0.7342 0.4405
385 C 0.6978 0.3499 0.8552
386 C 0.6993 0.2312 0.5026
387 C 0.7002 0.9139 0.9694
388 C 0.7342 0.4405 0.6912
389 C 0.7446 0.4447 0.2469
390 C 0.7471 0.1973 0.6354
391 C 0.7531 0.2554 0.5553
392 C 0.7673 0.0428 0.8465
393 C 0.7688 0.4974 0.3007
394 C 0.7861 0.5059 0.8347
395 C 0.8018 0.9057 0.3453
396 C 0.8027 0.3646 0.2529
397 C 0.8119 0.6055 0.5106
398 C 0.8127 0.3821 0.9941
399 C 0.8222 0.5538 0.9954
400 C 0.8229 0.4416 0.3567
401 C 0.8338 0.9895 0.0007
402 C 0.8347 0.7861 0.5059
403 C 0.8465 0.7673 0.0428
404 C 0.8485 0.9728 0.4782
405 C 0.8552 0.6978 0.3499
406 C 0.8559 0.3660 0.3169
407 C 0.8696 0.8696 0.8696
408 C 0.9057 0.3453 0.8018
409 C 0.9139 0.9694 0.7002
410 C 0.9248 0.4945 0.6864
411 C 0.9572 0.1535 0.2327
412 C 0.9694 0.7002 0.9139
413 C 0.9728 0.4782 0.8485
414 C 0.9895 0.0007 0.8338
415 C 0.9941 0.8127 0.3821
416 C 0.9954 0.8222 0.5538
417 C 0.9973 0.6639 0.5031
418 C 0.9993 0.1662 0.0105
419 S 0.1249 0.2947 0.2701
420 S 0.2701 0.1249 0.2947
421 S 0.2947 0.2701 0.1249
422 S 0.3130 0.3130 0.3130
423 S 0.6870 0.6870 0.6870
424 S 0.7053 0.7299 0.8751
425 S 0.7299 0.8751 0.7053
426 S 0.8751 0.7053 0.7299